DFT (r2SCAN) results for a geometry-optimized Pr3IrO7 structure.

Calculated values
As for the formation energy: -2.786 eV per atom. Its space group is No. 63.

a b c (Å): 6.6839 6.6839 7.5739
angles (deg): 90.00 90.00 112.37
Closest atoms and distances in Å follow each position.
Fractional positions:
O: 0.8088 0.5567 0.4583  1 Ir 1.98
O: 0.8088 0.5567 0.0417  1 Ir 1.98
O: 0.1912 0.4433 0.9583  1 Ir 1.98
O: 0.1582 0.8963 0.2500  4 Pr 2.31-2.40
O: 0.4433 0.1912 0.5417  1 Ir 1.98
O: 0.8418 0.1037 0.7500  4 Pr 2.31-2.40
O: 0.4069 0.4069 0.2500  2 Ir 2.02
O: 0.8963 0.1582 0.2500  4 Pr 2.31-2.40
O: 0.5931 0.5931 0.7500  2 Ir 2.02
O: 0.5567 0.8088 0.4583  1 Ir 1.98
O: 0.4433 0.1912 0.9583  1 Ir 1.98
O: 0.5567 0.8088 0.0417  1 Ir 1.98
O: 0.1912 0.4433 0.5417  1 Ir 1.98
O: 0.1037 0.8418 0.7500  4 Pr 2.31-2.40
Pr: 0.5307 0.0896 0.2500  7 O 2.31-2.55
Pr: 0.0896 0.5307 0.2500  7 O 2.31-2.55
Pr: 0.0000 0.0000 0.5000  4 O 2.40
Pr: 0.4693 0.9104 0.7500  7 O 2.31-2.55
Pr: 0.0000 0.0000 0.0000  4 O 2.40
Pr: 0.9104 0.4693 0.7500  7 O 2.31-2.55
Ir: 0.5000 0.5000 0.0000  6 O 1.98-2.02
Ir: 0.5000 0.5000 0.5000  6 O 1.98-2.02

DFT (r2SCAN) results for a geometry-optimized Zn3SbN structure.

Calculated values
As for the formation energy: 0.220 eV per atom. Its space group is No. 74.

a b c (Å): 5.9142 6.0637 6.1040
angles (deg): 120.22 90.00 119.19
Closest atoms and distances in Å follow each position.
Fractional positions:
Zn: 0.7071 0.9141 0.7071  2 N 2.16
Zn: 0.2929 0.0859 0.2929  2 N 2.16
Zn: 0.7929 0.0859 0.2929  2 N 2.16
Zn: 0.2071 0.9141 0.7071  2 N 2.16
Zn: 0.7500 0.5000 0.1821  2 N 2.20
Zn: 0.2500 0.5000 0.8179  2 N 2.20
N: 0.5000 0.0000 0.0000  6 Zn 2.16-2.20
N: 0.0000 0.0000 0.5000  6 Zn 2.16-2.20
Sb: 0.2500 0.5000 0.2526  5 Zn 2.65-2.77
Sb: 0.7500 0.5000 0.7474  5 Zn 2.65-2.77

DFT (r2SCAN) results for a geometry-optimized PaZn3 structure.

Calculated values
As for the formation energy: -0.053 eV per atom. Its space group is No. 194.

a b c (Å): 6.3197 6.3197 4.2536
angles (deg): 90.00 90.00 120.00
Closest atoms and distances in Å follow each position.
Fractional positions:
Pa: 0.3333 0.6667 0.7500  12 Zn 2.96-3.17
Pa: 0.6667 0.3333 0.2500  12 Zn 2.96-3.17
Zn: 0.1450 0.2900 0.2500  6 Zn 2.65-2.75, 2 Pa 2.96
Zn: 0.8550 0.7100 0.7500  6 Zn 2.65-2.75, 2 Pa 2.96
Zn: 0.2900 0.1450 0.7500  6 Zn 2.65-2.75, 2 Pa 2.96
Zn: 0.1450 0.8550 0.2500  6 Zn 2.65-2.75, 2 Pa 2.96
Zn: 0.7100 0.8550 0.2500  6 Zn 2.65-2.75, 2 Pa 2.96
Zn: 0.8550 0.1450 0.7500  6 Zn 2.65-2.75, 2 Pa 2.96

DFT (r2SCAN) results for a geometry-optimized Tb7MnBr12 structure.

Calculated values
As for the formation energy: -1.748 eV per atom. Its space group is No. 148.

a b c (Å): 9.1243 9.1243 9.1243
angles (deg): 106.80 106.80 106.80
Closest atoms and distances in Å follow each position.
Fractional positions:
Br: 0.1147 0.0357 0.3352  3 Tb 2.82-3.01
Br: 0.9643 0.6648 0.8853  3 Tb 2.82-3.01
Br: 0.3352 0.1147 0.0357  3 Tb 2.82-3.01
Br: 0.0357 0.3352 0.1147  3 Tb 2.82-3.01
Br: 0.8209 0.2744 0.4287  3 Tb 2.88-3.12
Br: 0.7256 0.5713 0.1791  3 Tb 2.88-3.12
Br: 0.2744 0.4287 0.8209  3 Tb 2.88-3.12
Br: 0.6648 0.8853 0.9643  3 Tb 2.82-3.01
Br: 0.4287 0.8209 0.2744  3 Tb 2.88-3.12
Br: 0.8853 0.9643 0.6648  3 Tb 2.82-3.01
Br: 0.5713 0.1791 0.7256  3 Tb 2.88-3.12
Br: 0.1791 0.7256 0.5713  3 Tb 2.88-3.12
Tb: 0.4786 0.1952 0.4025  1 Mn 2.59, 1 Br 2.88
Tb: 0.5214 0.8048 0.5975  1 Mn 2.59, 1 Br 2.88
Tb: 0.4025 0.4786 0.1952  1 Mn 2.59, 1 Br 2.88
Tb: 0.8048 0.5975 0.5214  1 Mn 2.59, 1 Br 2.88
Tb: 0.1952 0.4025 0.4786  1 Mn 2.59, 1 Br 2.88
Tb: 0.5975 0.5214 0.8048  1 Mn 2.59, 1 Br 2.88
Tb: 0.0000 0.0000 0.0000  6 Br 2.82
Mn: 0.5000 0.5000 0.5000  6 Tb 2.59

DFT (r2SCAN) results for a geometry-optimized Ce3In4Ge structure.

Calculated values
As for the formation energy: -0.650 eV per atom. Its space group is No. 69.

a b c (Å): 8.5072 8.5004 8.5004
angles (deg): 90.76 119.53 119.53
Closest atoms and distances in Å follow each position.
Fractional positions:
In: 0.2131 0.6737 0.1737  3 In 2.93-3.04, 1 Ce 3.19
In: 0.5000 0.8264 0.0397  3 In 2.93-3.04, 1 Ce 3.19
In: 0.5000 0.4603 0.6736  3 In 2.93-3.04, 1 Ce 3.19
In: 0.7869 0.3263 0.8263  3 In 2.93-3.04, 1 Ce 3.19
In: 0.7869 0.9606 0.4606  3 In 2.93-3.04, 1 Ce 3.19
In: 0.5000 0.1736 0.9603  3 In 2.93-3.04, 1 Ce 3.19
In: 0.5000 0.5397 0.3264  3 In 2.93-3.04, 1 Ce 3.19
In: 0.2131 0.0394 0.5394  3 In 2.93-3.04, 1 Ce 3.19
Ge: 0.0000 0.5000 0.5000  6 Ce 2.99-3.20
Ge: 0.0000 0.0000 0.0000  6 Ce 2.99-3.20
Ce: 0.1707 0.3354 0.8354  6 In 3.19-3.43, 2 Ge 3.20
Ce: 0.0000 0.7500 0.7500  2 Ge 2.99
Ce: 0.5000 0.8356 0.6644  6 In 3.19-3.43, 2 Ge 3.20
Ce: 0.5000 0.1644 0.3356  6 In 3.19-3.43, 2 Ge 3.20
Ce: 0.0000 0.2500 0.2500  2 Ge 2.99
Ce: 0.8293 0.6646 0.1646  6 In 3.19-3.43, 2 Ge 3.20

DFT (r2SCAN) results for a geometry-optimized Y10H21 structure.

Calculated values
As for the formation energy: -0.786 eV per atom. Its space group is No. 2.

a b c (Å): 6.3668 7.3494 8.2046
angles (deg): 102.95 97.33 106.86
Closest atoms and distances in Å follow each position.
Fractional positions:
Y: 0.0994 0.9512 0.7032  8 H 2.25-2.26
Y: 0.2975 0.3473 0.0992  8 H 2.25-2.26
Y: 0.1009 0.4492 0.6996  8 H 2.19-2.26
Y: 0.9006 0.0488 0.2968  8 H 2.25-2.26
Y: 0.7029 0.1495 0.9000  8 H 2.20-2.26
Y: 0.7025 0.6527 0.9008  8 H 2.25-2.26
Y: 0.2971 0.8505 0.1000  8 H 2.20-2.26
Y: 0.4999 0.2502 0.5009  8 H 2.19-2.26
Y: 0.5001 0.7498 0.4991  8 H 2.19-2.26
Y: 0.8991 0.5508 0.3004  8 H 2.19-2.26
H: 0.5503 0.9753 0.3491  4 Y 2.25-2.26
H: 0.8512 0.8269 0.4509  4 Y 2.25-2.26
H: 0.6392 0.9232 0.0511  4 Y 2.20-2.26, 1 H 2.32
H: 0.5487 0.4739 0.3489  4 Y 2.25
H: 0.7429 0.8718 0.7436  4 Y 2.19-2.26, 1 H 2.31
H: 0.1500 0.6767 0.5504  4 Y 2.25-2.26
H: 0.0516 0.2311 0.8464  4 Y 2.19-2.25, 1 H 2.31
H: 0.3608 0.0768 0.9489  4 Y 2.20-2.26, 1 H 2.32
H: 0.2493 0.6243 0.2486  4 Y 2.25-2.26
H: 0.1488 0.1731 0.5491  4 Y 2.25-2.26
H: 0.4497 0.0247 0.6509  4 Y 2.25-2.26
H: 0.8500 0.3233 0.4496  4 Y 2.25-2.26
H: 0.0519 0.7179 0.8464  4 Y 2.20-2.26, 1 H 2.31
H: 0.6493 0.4246 0.0491  4 Y 2.26
H: 0.0000 0.0000 0.0000  8 H 2.31-2.32, 6 Y 2.57-2.58
H: 0.4513 0.5261 0.6511  4 Y 2.25
H: 0.3507 0.5754 0.9509  4 Y 2.26
H: 0.9481 0.2821 0.1536  4 Y 2.20-2.26, 1 H 2.31
H: 0.9484 0.7689 0.1536  4 Y 2.19-2.25, 1 H 2.31
H: 0.2571 0.1282 0.2564  4 Y 2.19-2.26, 1 H 2.31
H: 0.7507 0.3757 0.7514  4 Y 2.25-2.26

DFT (r2SCAN) results for a geometry-optimized BaF3 structure.

Calculated values
As for the formation energy: -3.003 eV per atom. Its space group is No. 139.

a b c (Å): 4.5498 4.5498 4.5498
angles (deg): 124.39 124.39 82.56
Closest atoms and distances in Å follow each position.
Fractional positions:
Ba: 0.0000 0.0000 0.0000  12 F 2.73-3.00
F: 0.2500 0.7500 0.5000  8 F 2.73-3.00, 4 Ba 2.73
F: 0.7500 0.2500 0.5000  4 Ba 2.73, 8 F 2.73-3.00
F: 0.5000 0.5000 0.0000  8 F 2.73, 4 Ba 3.00

DFT (r2SCAN) results for a geometry-optimized DyRh structure.

Calculated values
As for the formation energy: -0.951 eV per atom. Its space group is No. 221.

a b c (Å): 3.4028 3.4028 3.4028
angles (deg): 90.00 90.00 90.00
Closest atoms and distances in Å follow each position.
Fractional positions:
Rh: 0.5000 0.5000 0.5000  8 Dy 2.95
Dy: 0.0000 0.0000 0.0000  8 Rh 2.95

Volume (Å³ per cell)
312.9, 156.1, 147.1, 636.0, 437.8, 350.3, 61.6, 39.4